Compound: Rb2Au3
Source: the Materials Project
Functional: GGA-PBE
Structure: optimized geometry

Crystal system: orthorhombic
Energy relative to the elements (eV per atom): -0.299

Lattice parameters (Å, degrees): 5.046 5.594 10.808 90.00 90.00 90.00
Space group Immm (No. 71)
Unique sites:
Rb1 0.000 0.000 0.196
Au1 0.000 0.254 0.500
Au2 0.000 0.500 0.000

Compound: BaMg14CdO16
Source: the Materials Project
Functional: GGA-PBE
Structure: optimized geometry

Crystal system: tetragonal
Energy relative to the elements (eV per atom): -2.736
Energy relative to the lowest polymorph listed for this composition (eV/atom): 0.000
Total moment (μB/f.u.): 0.00
Energy with MP2020 corrections (eV/atom): -6.00

Lattice parameters (Å, degrees): 8.800 8.800 4.543 90.00 90.00 90.00
Space group P4/mmm (No. 123)
Unique sites:
Ba1 0.000 0.000 0.000
Mg1 0.000 0.264 0.500
Mg2 0.000 0.500 0.000
Mg3 0.247 0.500 0.500
Mg4 0.256 0.256 0.000
Cd1 0.500 0.500 0.000
O1 0.000 0.000 0.500
O2 0.000 0.279 0.000
O3 0.000 0.500 0.500
O4 0.241 0.500 0.000
O5 0.251 0.251 0.500
O6 0.500 0.500 0.500

Repeat the first record exactly.
Compound: Rb2Au3
Source: the Materials Project
Functional: GGA-PBE
Structure: optimized geometry

Crystal system: orthorhombic
Energy relative to the elements (eV per atom): -0.299

Lattice parameters (Å, degrees): 5.046 5.594 10.808 90.00 90.00 90.00
Space group Immm (No. 71)
Unique sites:
Rb1 0.000 0.000 0.196
Au1 0.000 0.254 0.500
Au2 0.000 0.500 0.000

Among the records above, which one has the highest energy relative to the elements? Rb2Au3

Which of these has the lowest energy relative to the elements? BaMg14CdO16